TeMoWSe2S | PBE-GGA | optimized geometry

The value obtained for the total magnetic moment is 0.00 μB/cell. As for the MP2020-corrected energy: -6.97 eV per atom. The calculation puts the formation energy from the elements at -0.62 eV per atom. Its excess energy over the best structure of this formula in the dataset is 1 meV/atom.

Lattice parameters (Å, degrees): 3.3407 3.3407 38.0232 90.00 90.00 120.00
Space group P3m1 (No. 156)
Asymmetric unit:
Te (0.0000, 0.0000, 0.0000) (multiplicity 1)
Te (0.0000, 0.0000, 0.0997) (multiplicity 1)
Mo (0.6667, 0.3333, 0.0498) (multiplicity 1)
Mo (0.6667, 0.3333, 0.4256) (multiplicity 1)
W (0.0000, 0.0000, 0.2377) (multiplicity 1)
W (0.0000, 0.0000, 0.6135) (multiplicity 1)
Se (0.0000, 0.0000, 0.3818) (multiplicity 1)
Se (0.0000, 0.0000, 0.4694) (multiplicity 1)
Se (0.6667, 0.3333, 0.5695) (multiplicity 1)
Se (0.6667, 0.3333, 0.6575) (multiplicity 1)
S (0.6667, 0.3333, 0.1977) (multiplicity 1)
S (0.6667, 0.3333, 0.2778) (multiplicity 1)

=====

Te2MoW3Se4S2 | PBE-GGA | optimized geometry

The value obtained for the total magnetic moment is 0.00 μB/cell. As for the MP2020-corrected energy: -7.08 eV per atom. The calculation puts the formation energy from the elements at -0.56 eV per atom. Its excess energy over the best structure of this formula in the dataset is 37 meV/atom.

Lattice parameters (Å, degrees): 3.3447 3.3447 38.1073 90.00 90.00 120.00
Space group P3m1 (No. 156)
Asymmetric unit:
Te (0.0000, 0.0000, 0.0000) (multiplicity 1)
Te (0.0000, 0.0000, 0.1001) (multiplicity 1)
Mo (0.0000, 0.0000, 0.8622) (multiplicity 1)
W (0.0000, 0.0000, 0.2380) (multiplicity 1)
W (0.6667, 0.3333, 0.0501) (multiplicity 1)
W (0.6667, 0.3333, 0.6744) (multiplicity 1)
Se (0.0000, 0.0000, 0.6305) (multiplicity 1)
Se (0.0000, 0.0000, 0.7183) (multiplicity 1)
Se (0.6667, 0.3333, 0.1941) (multiplicity 1)
Se (0.6667, 0.3333, 0.2819) (multiplicity 1)
S (0.6667, 0.3333, 0.8224) (multiplicity 1)
S (0.6667, 0.3333, 0.9021) (multiplicity 1)

=====

Te2Mo3WSe2S4 | PBE-GGA | optimized geometry

The value obtained for the total magnetic moment is 0.00 μB/cell. As for the MP2020-corrected energy: -7.03 eV per atom. The calculation puts the formation energy from the elements at -0.76 eV per atom. Its excess energy over the best structure of this formula in the dataset is 17 meV/atom.

Lattice parameters (Å, degrees): 3.3085 3.3085 37.6236 90.00 90.00 120.00
Space group P3m1 (No. 156)
Asymmetric unit:
Te (0.0000, 0.0000, 0.0000) (multiplicity 1)
Te (0.0000, 0.0000, 0.1017) (multiplicity 1)
Mo (0.0000, 0.0000, 0.2388) (multiplicity 1)
Mo (0.0000, 0.0000, 0.8630) (multiplicity 1)
Mo (0.3333, 0.6667, 0.0509) (multiplicity 1)
W (0.3333, 0.6667, 0.4266) (multiplicity 1)
Se (0.0000, 0.0000, 0.3817) (multiplicity 1)
Se (0.0000, 0.0000, 0.4715) (multiplicity 1)
S (0.3333, 0.6667, 0.1982) (multiplicity 1)
S (0.3333, 0.6667, 0.2793) (multiplicity 1)
S (0.3333, 0.6667, 0.8224) (multiplicity 1)
S (0.3333, 0.6667, 0.9035) (multiplicity 1)

=====

Te2Mo3WSe4S2 | PBE-GGA | optimized geometry

The value obtained for the total magnetic moment is 0.00 μB/cell. As for the MP2020-corrected energy: -6.81 eV per atom. The calculation puts the formation energy from the elements at -0.64 eV per atom. Its excess energy over the best structure of this formula in the dataset is 15 meV/atom.

Lattice parameters (Å, degrees): 3.3441 3.3441 38.0270 90.00 90.00 120.00
Space group P3m1 (No. 156)
Asymmetric unit:
Te (0.0000, 0.0000, 0.0000) (multiplicity 1)
Te (0.0000, 0.0000, 0.0998) (multiplicity 1)
Mo (0.0000, 0.0000, 0.2378) (multiplicity 1)
Mo (0.6667, 0.3333, 0.0499) (multiplicity 1)
Mo (0.6667, 0.3333, 0.4256) (multiplicity 1)
W (0.0000, 0.0000, 0.6135) (multiplicity 1)
Se (0.0000, 0.0000, 0.3818) (multiplicity 1)
Se (0.0000, 0.0000, 0.4695) (multiplicity 1)
Se (0.6667, 0.3333, 0.5695) (multiplicity 1)
Se (0.6667, 0.3333, 0.6576) (multiplicity 1)
S (0.6667, 0.3333, 0.1979) (multiplicity 1)
S (0.6667, 0.3333, 0.2777) (multiplicity 1)